i.
{
  "formula": "Th",
  "functional": "r2SCAN",
  "state": "optimized geometry",
  "cell": [[-1.787, 1.787, 2.517], [1.787, -1.787, 2.517], [1.787, 1.787, -2.517]],
  "species": ["Th"],
  "frac_coords": [[0.000, 0.000, 0.000]],
  "magmom_total_mub_per_fu": 0.0
}

=====

ii.
{
  "formula": "Th",
  "functional": "r2SCAN",
  "state": "optimized geometry",
  "cell": [[-2.019, 2.019, 2.019], [2.019, -2.019, 2.019], [2.019, 2.019, -2.019]],
  "species": ["Th"],
  "frac_coords": [[0.000, 0.000, 0.000]],
  "magmom_total_mub_per_fu": 0.0
}

=====

The most stable arrangement is i, and the next structure is 152 meV/atom less stable.

=====

i.
{
  "formula": "Y3Th",
  "functional": "r2SCAN",
  "state": "optimized geometry",
  "cell": [[-2.571, 2.571, 4.993], [2.571, -2.571, 4.993], [2.571, 2.571, -4.993]],
  "species": ["Y", "Y", "Y", "Th"],
  "frac_coords": [[0.000, 0.000, 0.000], [0.250, 0.750, 0.500], [0.750, 0.250, 0.500], [0.500, 0.500, 0.000]],
  "magmom_total_mub_per_fu": 0.0
}

=====

ii.
{
  "formula": "Y3Th",
  "functional": "r2SCAN",
  "state": "optimized geometry",
  "cell": [[7.289, 0.000, 0.000], [-3.645, 6.313, 0.000], [0.000, 0.000, 5.826]],
  "species": ["Y", "Y", "Y", "Y", "Y", "Y", "Th", "Th"],
  "frac_coords": [[0.168, 0.336, 0.250], [0.168, 0.832, 0.250], [0.336, 0.168, 0.750], [0.664, 0.832, 0.250], [0.832, 0.168, 0.750], [0.832, 0.664, 0.750], [0.333, 0.667, 0.750], [0.667, 0.333, 0.250]],
  "magmom_total_mub_per_fu": 1.2
}

=====

The most stable arrangement is ii, and the next structure is 8 meV/atom less stable.

=====

i.
{
  "formula": "Ti",
  "functional": "r2SCAN",
  "state": "optimized geometry",
  "cell": [[0.000, 2.055, 2.055], [2.055, 0.000, 2.055], [2.055, 2.055, 0.000]],
  "species": ["Ti"],
  "frac_coords": [[0.000, 0.000, 0.000]],
  "magmom_total_mub_per_fu": 0.0
}

=====

ii.
{
  "formula": "Ti",
  "functional": "r2SCAN",
  "state": "optimized geometry",
  "cell": [[2.936, 0.000, 0.000], [-1.468, 2.542, 0.000], [0.000, 0.000, 4.641]],
  "species": ["Ti", "Ti"],
  "frac_coords": [[0.333, 0.667, 0.250], [0.667, 0.333, 0.750]],
  "magmom_total_mub_per_fu": 0.0
}

=====

The most stable arrangement is ii, and the next structure is 72 meV/atom less stable.

=====

i.
{
  "formula": "Tl",
  "functional": "r2SCAN",
  "state": "optimized geometry",
  "cell": [[0.000, 2.466, 2.466], [2.466, 0.000, 2.466], [2.466, 2.466, 0.000]],
  "species": ["Tl"],
  "frac_coords": [[0.000, 0.000, 0.000]],
  "magmom_total_mub_per_fu": 0.0
}

=====

ii.
{
  "formula": "Tl",
  "functional": "r2SCAN",
  "state": "optimized geometry",
  "cell": [[3.497, 0.000, 0.000], [-1.749, 3.029, 0.000], [0.000, 0.000, 5.647]],
  "species": ["Tl", "Tl"],
  "frac_coords": [[0.333, 0.667, 0.250], [0.667, 0.333, 0.750]],
  "magmom_total_mub_per_fu": 0.0
}

=====

iii.
{
  "formula": "Tl",
  "functional": "r2SCAN",
  "state": "optimized geometry",
  "cell": [[-6.039, 6.039, 6.039], [6.039, -6.039, 6.039], [6.039, 6.039, -6.039]],
  "species": ["Tl", "Tl", "Tl", "Tl", "Tl", "Tl", "Tl", "Tl", "Tl", "Tl", "Tl", "Tl", "Tl", "Tl", "Tl", "Tl", "Tl", "Tl", "Tl", "Tl", "Tl", "Tl", "Tl", "Tl", "Tl", "Tl", "Tl", "Tl", "Tl"],
  "frac_coords": [[0.000, 0.000, 0.000], [0.000, 0.000, 0.363], [0.000, 0.317, 0.598], [0.000, 0.363, 0.000], [0.000, 0.598, 0.317], [0.000, 0.626, 0.809], [0.000, 0.809, 0.626], [0.184, 0.374, 0.374], [0.191, 0.191, 0.816], [0.191, 0.816, 0.191], [0.281, 0.683, 0.683], [0.317, 0.000, 0.598], [0.317, 0.598, 0.000], [0.363, 0.000, 0.000], [0.374, 0.184, 0.374], [0.374, 0.374, 0.184], [0.402, 0.402, 0.719], [0.402, 0.719, 0.402], [0.598, 0.000, 0.317], [0.598, 0.317, 0.000], [0.626, 0.000, 0.809], [0.626, 0.809, 0.000], [0.637, 0.637, 0.637], [0.683, 0.281, 0.683], [0.683, 0.683, 0.281], [0.719, 0.402, 0.402], [0.809, 0.000, 0.626], [0.809, 0.626, 0.000], [0.816, 0.191, 0.191]],
  "magmom_total_mub_per_fu": 0.0
}

=====

The most stable arrangement is ii, and the next structure is 11 meV/atom less stable.

=====

i.
{
  "formula": "Tm",
  "functional": "r2SCAN",
  "state": "optimized geometry",
  "cell": [[3.513, 0.000, 0.000], [-1.756, 3.042, 0.000], [0.000, 0.000, 11.247]],
  "species": ["Tm", "Tm", "Tm", "Tm"],
  "frac_coords": [[0.000, 0.000, 0.000], [0.000, 0.000, 0.500], [0.333, 0.667, 0.250], [0.667, 0.333, 0.750]],
  "magmom_total_mub_per_fu": 0.0
}

=====

ii.
{
  "formula": "Tm",
  "functional": "r2SCAN",
  "state": "optimized geometry",
  "cell": [[3.564, 0.000, 0.000], [-1.782, 3.087, 0.000], [0.000, 0.000, 5.490]],
  "species": ["Tm", "Tm"],
  "frac_coords": [[0.333, 0.667, 0.250], [0.667, 0.333, 0.750]],
  "magmom_total_mub_per_fu": 0.0
}

=====

iii.
{
  "formula": "Tm",
  "functional": "r2SCAN",
  "state": "optimized geometry",
  "cell": [[-1.971, 1.971, 1.971], [1.971, -1.971, 1.971], [1.971, 1.971, -1.971]],
  "species": ["Tm"],
  "frac_coords": [[0.000, 0.000, 0.000]],
  "magmom_total_mub_per_fu": 0.4
}

=====

iv.
{
  "formula": "Tm",
  "functional": "r2SCAN",
  "state": "optimized geometry",
  "cell": [[1.763, 1.018, 8.545], [-1.763, 1.018, 8.545], [0.000, -2.036, 8.545]],
  "species": ["Tm", "Tm", "Tm"],
  "frac_coords": [[0.000, 0.000, 0.000], [0.222, 0.222, 0.222], [0.778, 0.778, 0.778]],
  "magmom_total_mub_per_fu": 0.5
}

=====

The most stable arrangement is ii, and the next structure is 7 meV/atom less stable.

=====

i.
{
  "formula": "Yb3U",
  "functional": "r2SCAN",
  "state": "optimized geometry",
  "cell": [[0.000, 3.875, 3.875], [3.875, 0.000, 3.875], [3.875, 3.875, 0.000]],
  "species": ["Yb", "Yb", "Yb", "U"],
  "frac_coords": [[0.000, 0.000, 0.000], [0.250, 0.250, 0.250], [0.750, 0.750, 0.750], [0.500, 0.500, 0.500]],
  "magmom_total_mub_per_fu": 4.3
}

=====

ii.
{
  "formula": "Yb3U",
  "functional": "r2SCAN",
  "state": "optimized geometry",
  "cell": [[-2.440, 2.440, 4.834], [2.440, -2.440, 4.834], [2.440, 2.440, -4.834]],
  "species": ["Yb", "Yb", "Yb", "U"],
  "frac_coords": [[0.000, 0.000, 0.000], [0.250, 0.750, 0.500], [0.750, 0.250, 0.500], [0.500, 0.500, 0.000]],
  "magmom_total_mub_per_fu": 3.9
}

=====

The most stable arrangement is ii, and the next structure is 113 meV/atom less stable.

=====

i.
{
  "formula": "Yb3V",
  "functional": "r2SCAN",
  "state": "optimized geometry",
  "cell": [[4.737, 0.000, 0.000], [0.000, 4.737, 0.000], [0.000, 0.000, 4.737]],
  "species": ["Yb", "Yb", "Yb", "V"],
  "frac_coords": [[0.000, 0.000, 0.500], [0.000, 0.500, 0.000], [0.500, 0.000, 0.000], [0.500, 0.500, 0.500]],
  "magmom_total_mub_per_fu": 5.2
}

=====

ii.
{
  "formula": "Yb3V",
  "functional": "r2SCAN",
  "state": "optimized geometry",
  "cell": [[0.000, 3.716, 3.716], [3.716, 0.000, 3.716], [3.716, 3.716, 0.000]],
  "species": ["Yb", "Yb", "Yb", "V"],
  "frac_coords": [[0.000, 0.000, 0.000], [0.250, 0.250, 0.250], [0.750, 0.750, 0.750], [0.500, 0.500, 0.500]],
  "magmom_total_mub_per_fu": 4.0
}

=====

The most stable arrangement is ii, and the next structure is 114 meV/atom less stable.

=====

i.
{
  "formula": "Xe",
  "functional": "r2SCAN",
  "state": "optimized geometry",
  "cell": [[4.549, 0.000, 0.000], [-2.275, 3.940, 0.000], [0.000, 0.000, 7.365]],
  "species": ["Xe", "Xe"],
  "frac_coords": [[0.333, 0.667, 0.250], [0.667, 0.333, 0.750]],
  "magmom_total_mub_per_fu": 0.0
}

=====

ii.
{
  "formula": "Xe",
  "functional": "r2SCAN",
  "state": "optimized geometry",
  "cell": [[2.998, 1.731, 3.085], [-2.998, 1.731, 3.085], [0.000, -3.462, 3.085]],
  "species": ["Xe"],
  "frac_coords": [[0.000, 0.000, 0.000]],
  "magmom_total_mub_per_fu": 0.0
}

=====

The most stable arrangement is i, and the next structure is 35 meV/atom less stable.